{
  "formula": "SbPt3",
  "functional": "PBE",
  "state": "optimized geometry",
  "lattice": [[2.8437, -4.9255, 0.0000], [2.8437, 4.9255, 0.0000], [0.0000, 0.0000, 4.9388]],
  "species": ["Pt", "Pt", "Pt", "Pt", "Pt", "Pt", "Sb", "Sb"],
  "fractional_positions": [[0.8347, 0.6694, 0.7500], [0.3306, 0.1653, 0.7500], [0.8347, 0.1653, 0.7500], [0.1653, 0.3306, 0.2500], [0.1653, 0.8347, 0.2500], [0.6694, 0.8347, 0.2500], [0.6667, 0.3333, 0.2500], [0.3333, 0.6667, 0.7500]],
  "dft_energy_ev_per_atom": -5.69,
  "formation_enthalpy_0k_ev_per_atom": -0.104
}